Entry from Materials Project: an optimized crystal structure of Na6La4Si5Sn4S7O48 (PBE). Values from VASP.

Output
The total energy comes out at -6.61 eV/atom. The calculation puts the total magnetization at 0.00 μB per formula unit.

The structure in Quantum ESPRESSO input format:
```
&SYSTEM
  ibrav = 0, nat = 222, ntyp = 6
/
ATOMIC_SPECIES
O 16.00 O.upf
Si 28.09 Si.upf
La 138.91 La.upf
Na 22.99 Na.upf
S 32.06 S.upf
Sn 118.71 Sn.upf
ATOMIC_POSITIONS crystal
O 0.246 0.154 0.930
O 0.231 0.111 0.630
O 0.427 0.546 0.034
O 0.818 0.541 0.629
O 0.345 0.135 0.030
O 0.734 0.154 0.527
O 0.639 0.463 0.741
O 0.756 0.656 0.569
O 0.144 0.442 0.754
O 0.998 0.202 0.296
Si 0.641 0.287 0.748
O 0.955 0.365 0.632
O 0.924 0.022 0.808
O 0.670 0.870 0.972
O 0.416 0.855 0.592
O 0.415 0.314 0.249
La 0.171 0.666 0.314
La 0.668 0.659 0.811
Si 0.168 0.017 0.580
Na 0.193 0.656 0.160
O 0.271 0.855 0.738
O 0.426 0.528 0.746
O 0.558 0.666 0.362
La 0.823 0.308 0.685
S 0.356 0.003 0.741
Si 0.831 0.004 0.083
Na 0.500 0.626 0.252
S 0.860 0.715 0.241
Na 0.669 0.641 0.158
O 0.654 0.486 0.077
O 0.648 0.459 0.473
O 0.314 0.546 0.638
O 0.014 0.827 0.422
Sn 0.005 0.020 0.139
O 0.511 0.196 0.926
Sn 0.160 0.663 0.013
O 0.232 0.389 0.139
O 0.820 0.139 0.428
O 0.445 0.317 0.535
Si 0.664 0.358 0.421
O 0.395 0.000 0.796
O 0.422 0.824 0.308
Na 0.000 0.994 0.511
O 0.511 0.832 0.414
S 0.485 0.643 0.080
O 0.913 0.976 0.089
O 0.270 0.639 0.871
O 0.745 0.824 0.074
O 0.576 0.695 0.743
S 0.820 0.677 0.920
O 0.902 0.795 0.295
O 0.748 0.341 0.430
Na 0.350 0.357 0.328
O 0.170 0.452 0.368
La 0.832 0.321 0.993
La 0.173 0.697 0.814
O 0.923 0.484 0.433
S 0.996 0.653 0.088
O 0.855 0.133 0.031
O 0.002 0.200 0.194
O 0.937 0.349 0.921
Na 0.832 0.334 0.818
O 0.457 0.551 0.134
O 0.226 0.301 0.752
O 0.726 0.153 0.252
O 0.770 0.654 0.870
O 0.495 0.198 0.309
Na 0.005 0.018 0.997
S 0.330 0.024 0.080
Na 0.499 0.362 0.751
Si 0.668 0.323 0.080
O 0.277 0.863 0.470
S 0.667 0.960 0.922
O 0.357 0.588 0.529
O 0.457 0.359 0.637
Si 0.497 0.293 0.250
O 0.403 0.978 0.415
O 0.396 0.803 0.926
O 0.353 0.162 0.742
S 0.141 0.278 0.753
O 0.578 0.171 0.414
O 0.222 0.137 0.243
O 0.153 0.824 0.577
Sn 0.511 0.998 0.642
O 0.733 0.310 0.747
O 0.434 0.525 0.419
Si 0.684 0.020 0.579
O 0.577 0.145 0.088
S 0.312 0.654 0.924
O 0.579 0.487 0.249
O 0.911 0.817 0.193
O 0.319 0.500 0.930
O 0.168 0.508 0.068
O 0.061 0.454 0.864
O 0.779 0.697 0.972
S 0.020 0.360 0.916
Sn 0.327 0.321 0.984
O 0.570 0.691 0.465
Na 0.502 0.015 0.006
O 0.206 0.116 0.520
S 0.498 0.703 0.745
O 0.087 0.993 0.197
O 0.247 0.671 0.573
O 0.091 0.173 0.085
O 0.095 0.194 0.701
O 0.919 0.517 0.748
Si 0.000 0.702 0.750
O 0.589 0.492 0.967
Sn 0.002 0.978 0.851
O 0.668 0.827 0.566
O 0.236 0.315 0.030
Si 0.866 0.999 0.752
O 0.998 0.793 0.809
O 0.012 0.191 0.915
O 0.645 0.847 0.254
O 0.411 0.825 0.191
O 0.077 0.984 0.915
O 0.137 0.833 0.244
O 0.729 0.354 0.133
Na 0.999 0.378 0.751
O 0.328 0.135 0.424
S 0.983 0.328 0.579
O 0.772 0.902 0.369
Na 0.327 0.315 0.846
O 0.927 0.311 0.531
O 0.405 0.000 0.693
O 0.360 0.549 0.251
O 0.668 0.877 0.870
Sn 0.660 0.654 0.515
O 0.943 0.575 0.039
O 0.070 0.472 0.568
La 0.331 0.349 0.182
O 0.147 0.838 0.975
La 0.333 0.348 0.497
O 0.099 0.004 0.299
La 0.321 0.337 0.675
S 0.518 0.677 0.415
O 0.013 0.812 0.693
S 0.168 0.369 0.422
Na 0.171 0.701 0.662
O 0.241 0.342 0.420
O 0.010 0.827 0.093
Sn 0.666 0.658 0.020
Si 0.185 0.349 0.080
O 0.091 0.199 0.424
Sn 0.502 0.023 0.353
Na 0.996 0.619 0.255
Sn 0.828 0.336 0.486
Si 0.335 0.665 0.583
S 0.138 0.995 0.246
O 0.856 0.550 0.241
O 0.590 0.004 0.582
O 0.988 0.172 0.582
S 0.000 0.292 0.245
O 0.184 0.903 0.864
O 0.848 0.560 0.528
O 0.906 0.810 0.583
La 0.671 0.646 0.314
Na 0.507 0.992 0.503
Na 0.662 0.311 0.925
La 0.497 0.007 0.856
O 0.815 0.080 0.140
O 0.777 0.698 0.239
O 0.589 0.974 0.926
O 0.762 0.857 0.470
Si 0.016 0.648 0.419
O 0.895 0.987 0.426
O 0.580 0.493 0.579
O 0.863 0.173 0.751
O 0.046 0.628 0.356
La 0.819 0.304 0.173
O 0.083 0.675 0.749
O 0.101 0.184 0.805
O 0.926 0.314 0.245
O 0.707 0.299 0.021
O 0.570 0.671 0.069
O 0.507 0.190 0.589
O 0.264 0.670 0.972
Sn 0.000 0.980 0.652
Si 0.366 0.733 0.251
S 0.320 0.966 0.420
O 0.422 0.362 0.934
O 0.904 0.832 0.916
O 0.080 0.666 0.080
O 0.733 0.075 0.637
S 0.641 0.004 0.253
O 0.829 0.526 0.925
O 0.492 0.786 0.796
Si 0.163 0.969 0.921
O 0.580 0.172 0.696
O 0.495 0.791 0.694
O 0.543 0.460 0.859
O 0.959 0.556 0.140
Si 0.515 0.379 0.921
O 0.509 0.207 0.193
O 0.405 0.003 0.084
La 0.992 0.987 0.361
O 0.168 0.466 0.471
Na 0.163 0.009 0.436
O 0.595 0.996 0.201
S 0.495 0.337 0.585
S 0.810 0.970 0.423
O 0.911 0.995 0.691
O 0.076 0.462 0.243
O 0.273 0.714 0.252
O 0.774 0.833 0.752
O 0.077 0.011 0.589
O 0.093 0.687 0.464
O 0.739 0.135 0.920
O 0.316 0.093 0.131
O 0.685 0.464 0.363
O 0.269 0.889 0.369
S 0.832 0.639 0.579
O 0.600 0.204 0.809
Sn 0.498 0.018 0.150
O 0.600 0.017 0.305
O 0.255 0.854 0.071
O 0.072 0.448 0.967
Na 0.820 0.330 0.349
O 0.489 0.809 0.084
Sn 0.165 0.675 0.522
Na 0.688 0.701 0.669
CELL_PARAMETERS angstrom
-0.485 3.533 -18.127
4.466 -7.425 3.109
-19.980 -12.940 -2.176
```